NdCu2Ge2 | meta-GGA r2SCAN | relaxed

The structure belongs to space group I4/mmm (No. 139); the cell edges are 4.137, 4.137 and 10.166 Å and the angles 90.00°, 90.00° and 90.00°. The inequivalent atoms are Nd at (0.000, 0.000, 0.000), Cu at (0.000, 0.500, 0.250) and Ge at (0.000, 0.000, 0.376).

The formation energy is -13.582 kcal/mol of atoms. For the density, the calculation gives 7.95 g cm⁻³. The total moment is 0.00 μB/cell.

***

Pr7Ru3 | meta-GGA r2SCAN | relaxed

The structure belongs to space group Pnma (No. 62); the cell edges are 7.333, 23.401 and 6.712 Å and the angles 90.00°, 90.00° and 90.00°. The inequivalent atoms are Pr at (0.054, 0.115, 0.143), Pr at (0.174, 0.750, 0.637), Pr at (0.178, 0.023, 0.675), Pr at (0.184, 0.174, 0.681), Ru at (0.024, 0.750, 0.030) and Ru at (0.107, 0.596, 0.470).

The formation energy is -4.631 kcal/mol of atoms. For the density, the calculation gives 7.44 g cm⁻³. The total moment is 0.00 μB/cell.

***

| no. | volume (Å³ per atom) |
| --- | --- |
| 1 | 17.40 |
| 2 | 28.79 |